# 1
VASP calculation (PBE) on crystalline Nb3FeS6 at its relaxed geometry.

Geometry as CIF:
```
data_Nb3FeS6
_space_group_name_H-M_alt 'P 63 2 2'
_space_group_IT_number 182
_space_group_name_Hall 'P 6c 2c'
_cell_length_a 5.7789
_cell_length_b 5.7789
_cell_length_c 11.6494
_cell_angle_alpha 90.00
_cell_angle_beta 90.00
_cell_angle_gamma 120.00
loop_
_atom_site_label
_atom_site_type_symbol
_atom_site_fract_x
_atom_site_fract_y
_atom_site_fract_z
Nb1 Nb 0.0000 0.0000 0.0000
Nb2 Nb 0.3333 0.6667 0.0051
Fe1 Fe 0.3333 0.6667 0.7500
S1 S 0.0080 0.3390 0.6359
```

Results
**ΔE_f**: -1306 meV per atom

=====

# 2
VASP calculation (PBE) on crystalline LiSiAg2 at its relaxed geometry.

Geometry as CIF:
```
data_LiSiAg2
_space_group_name_H-M_alt 'F -4 3 m'
_space_group_IT_number 216
_space_group_name_Hall 'F -4 2 3'
_cell_length_a 6.3799
_cell_length_b 6.3799
_cell_length_c 6.3799
_cell_angle_alpha 90.00
_cell_angle_beta 90.00
_cell_angle_gamma 90.00
loop_
_atom_site_label
_atom_site_type_symbol
_atom_site_fract_x
_atom_site_fract_y
_atom_site_fract_z
Li1 Li 0.0000 0.0000 0.0000
Si1 Si 0.2500 0.2500 0.2500
Ag1 Ag 0.0000 0.0000 0.5000
Ag2 Ag 0.2500 0.2500 0.7500
```

Results
**ΔE_f**: -1 meV per atom
**Size of the total moment**: 0.0 μB per formula unit

=====

# 3
VASP calculation (PBE) on crystalline YN at its relaxed geometry.

Geometry as CIF:
```
data_YN
_space_group_name_H-M_alt 'F m -3 m'
_space_group_IT_number 225
_space_group_name_Hall '-F 4 2 3'
_cell_length_a 4.9191
_cell_length_b 4.9191
_cell_length_c 4.9191
_cell_angle_alpha 90.00
_cell_angle_beta 90.00
_cell_angle_gamma 90.00
loop_
_atom_site_label
_atom_site_type_symbol
_atom_site_fract_x
_atom_site_fract_y
_atom_site_fract_z
Y1 Y 0.0000 0.0000 0.0000
N1 N 0.0000 0.0000 0.5000
```

Results
**ΔE_f**: -1867 meV per atom

=====

# 4
VASP calculation (PBE) on crystalline CsBaSiHO4 at its relaxed geometry.

Geometry as CIF:
```
data_CsBaSiHO4
_space_group_name_H-M_alt 'P 1 21 1'
_space_group_IT_number 4
_cell_length_a 6.1207
_cell_length_b 8.3426
_cell_length_c 6.1241
_cell_angle_alpha 90.00
_cell_angle_beta 118.25
_cell_angle_gamma 90.00
loop_
_space_group_symop_operation_xyz
'x,y,z'
'-x,y+1/2,-z'
loop_
_atom_site_label
_atom_site_type_symbol
_atom_site_fract_x
_atom_site_fract_y
_atom_site_fract_z
Cs1 Cs 0.1357 0.0000 0.2767
Ba1 Ba 0.4834 0.2530 0.9896
Si1 Si 0.1925 0.5158 0.3835
H1 H 0.0172 0.2832 0.4608
O1 O 0.0092 0.1639 0.6972
O2 O 0.0087 0.3444 0.3155
O3 O 0.3462 0.5068 0.2259
O4 O 0.3738 0.5107 0.6848
```

Results
**ΔE_f**: -2662 meV per atom
**Size of the total moment**: 0.0 μB per formula unit

=====

# 5
VASP calculation (PBE) on crystalline Mg4CuO5 at its relaxed geometry.

Geometry as CIF:
```
data_Mg4CuO5
_space_group_name_H-M_alt 'I 4/m m m'
_space_group_IT_number 139
_space_group_name_Hall '-I 4 2'
_cell_length_a 3.0079
_cell_length_b 3.0079
_cell_length_c 21.2554
_cell_angle_alpha 90.00
_cell_angle_beta 90.00
_cell_angle_gamma 90.00
loop_
_atom_site_label
_atom_site_type_symbol
_atom_site_fract_x
_atom_site_fract_y
_atom_site_fract_z
Mg1 Mg 0.0000 0.0000 0.0989
Mg2 Mg 0.0000 0.0000 0.2997
Cu1 Cu 0.0000 0.0000 0.5000
O1 O 0.0000 0.0000 0.0000
O2 O 0.0000 0.0000 0.1999
O3 O 0.0000 0.0000 0.3992
```

Results
**Polymorph energy (0 for the lowest one)**: 0 meV/atom
**ΔE_f**: -2592 meV per atom
**Size of the total moment**: 0.9 μB per formula unit

=====

# 6
VASP calculation (PBE) on crystalline Cs2Re2Se5 at its relaxed geometry.

Geometry as CIF:
```
data_Cs2Re2Se5
_space_group_name_H-M_alt 'R -3 c'
_space_group_IT_number 167
_space_group_name_Hall '-R 3 2"c'
_cell_length_a 14.8634
_cell_length_b 14.8634
_cell_length_c 29.1143
_cell_angle_alpha 90.00
_cell_angle_beta 90.00
_cell_angle_gamma 120.00
loop_
_atom_site_label
_atom_site_type_symbol
_atom_site_fract_x
_atom_site_fract_y
_atom_site_fract_z
Cs1 Cs 0.0053 0.2087 0.1739
Re1 Re 0.0161 0.1101 0.5373
Se1 Se 0.0000 0.0000 0.1075
Se2 Se 0.0000 0.0000 0.2500
Se3 Se 0.0303 0.2456 0.5983
Se4 Se 0.0309 0.2119 0.4648
```

Results
**ΔE_f**: -964 meV per atom
**Size of the total moment**: 0.0 μB per formula unit

=====

# 7
VASP calculation (PBE) on crystalline TmBiPd at its relaxed geometry.

Geometry as CIF:
```
data_TmBiPd
_space_group_name_H-M_alt 'F -4 3 m'
_space_group_IT_number 216
_space_group_name_Hall 'F -4 2 3'
_cell_length_a 6.6843
_cell_length_b 6.6843
_cell_length_c 6.6843
_cell_angle_alpha 90.00
_cell_angle_beta 90.00
_cell_angle_gamma 90.00
loop_
_atom_site_label
_atom_site_type_symbol
_atom_site_fract_x
_atom_site_fract_y
_atom_site_fract_z
Tm1 Tm 0.0000 0.0000 0.0000
Bi1 Bi 0.0000 0.0000 0.5000
Pd1 Pd 0.2500 0.2500 0.2500
```

Results
**ΔE_f**: -913 meV per atom

=====

# 8
VASP calculation (PBE) on crystalline MnPb2N2 at its relaxed geometry.

Geometry as CIF:
```
data_MnPb2N2
_space_group_name_H-M_alt 'C 1 2/m 1'
_space_group_IT_number 12
_cell_length_a 5.5265
_cell_length_b 3.1960
_cell_length_c 10.0768
_cell_angle_alpha 90.00
_cell_angle_beta 98.80
_cell_angle_gamma 90.00
loop_
_space_group_symop_operation_xyz
'x,y,z'
'-x,-y,-z'
'-x,y,-z'
'x,-y,z'
'x+1/2,y+1/2,z'
'-x+1/2,-y+1/2,-z'
'-x+1/2,y+1/2,-z'
'x+1/2,-y+1/2,z'
loop_
_atom_site_label
_atom_site_type_symbol
_atom_site_fract_x
_atom_site_fract_y
_atom_site_fract_z
Mn1 Mn 0.0000 0.0000 0.0000
Pb1 Pb 0.2410 0.0000 0.6821
N1 N 0.1923 0.5000 0.0929
```

Results
**ΔE_f**: 124 meV per atom
**Size of the total moment**: 3.0 μB per formula unit

=====

no.,E (eV/atom)
1,-7.363
2,-3.250
3,-9.088
4,-6.246
5,-5.773
6,-5.609
7,-5.428
8,-6.384